1.
Sr3CaV4O12 after structural relaxation. Source: the Materials Project database, functional PBE+U.

```
Sr3CaV4O12
1.0
3.9063 0.0000 0.0000
0.0000 5.4988 0.0000
0.0000 0.0000 10.9942
Sr Ca V O
3 1 4 12
direct
0.0000 0.0000 0.0000
0.0000 0.5000 0.2508
0.0000 0.5000 0.7492
0.0000 0.0000 0.5000
0.5000 0.0000 0.2522
0.5000 0.0000 0.7478
0.5000 0.5000 0.0000
0.5000 0.5000 0.5000
0.0000 0.0000 0.2519
0.0000 0.0000 0.7481
0.0000 0.5000 0.0000
0.0000 0.5000 0.5000
0.5000 0.2470 0.3758
0.5000 0.2470 0.6242
0.5000 0.2507 0.1251
0.5000 0.2507 0.8749
0.5000 0.7493 0.1251
0.5000 0.7493 0.8749
0.5000 0.7530 0.3758
0.5000 0.7530 0.6242
```

Calculated values
Energy above the lowest structure with this stoichiometry in kJ/mol of formula units: 78
Crystal system: orthorhombic
Total energy after the MP2020 corrections in eV/cell: -160.15
ΔH_f (0 K) in eV/atom: -2.868
M_tot in μB per atom: 0.200
E in Ha/atom: -0.2666

2.
Sr3CaV4O12 after structural relaxation. Source: the Materials Project database, functional PBE+U.

```
Sr3CaV4O12
1.0
5.5209 -3.8960 0.0000
5.5209 3.8960 0.0000
-5.4730 0.0000 11.0174
Sr Ca V O
6 2 8 24
direct
0.0000 0.5000 0.0000
0.1232 0.6259 0.7494
0.3741 0.8768 0.2506
0.5000 0.0000 0.0000
0.6259 0.1232 0.7494
0.8768 0.3741 0.2506
0.2488 0.7512 0.5000
0.7512 0.2488 0.5000
0.0000 0.0000 0.0000
0.1255 0.1255 0.7469
0.2497 0.2497 0.4996
0.3789 0.3789 0.2540
0.5000 0.5000 0.0000
0.6211 0.6211 0.7460
0.7503 0.7503 0.5004
0.8745 0.8745 0.2531
0.0000 0.5000 0.5000
0.0593 0.0593 0.8780
0.0617 0.0617 0.3729
0.1307 0.6297 0.2569
0.1821 0.1821 0.6193
0.1841 0.1841 0.1225
0.2465 0.7535 0.0000
0.3022 0.3022 0.8693
0.3124 0.3124 0.3729
0.3703 0.8693 0.7431
0.4361 0.4361 0.1287
0.4361 0.4361 0.6199
0.5000 0.0000 0.5000
0.5639 0.5639 0.3801
0.5639 0.5639 0.8713
0.6297 0.1307 0.2569
0.6876 0.6876 0.6271
0.6978 0.6978 0.1307
0.7535 0.2465 0.0000
0.8159 0.8159 0.8775
0.8179 0.8179 0.3807
0.8693 0.3703 0.7431
0.9383 0.9383 0.6271
0.9407 0.9407 0.1220
```

Calculated values
Energy above the lowest structure with this stoichiometry in kJ/mol of formula units: 10
Crystal system: monoclinic
Total energy after the MP2020 corrections in eV/cell: -321.72
ΔH_f (0 K) in eV/atom: -2.904
M_tot in μB per atom: 0.102
E in Ha/atom: -0.2679

3.
Sr3CaV4O12 after structural relaxation. Source: the Materials Project database, functional PBE+U.

```
Sr3CaV4O12
1.0
3.9818 0.0000 0.0000
-0.0098 10.9443 0.0000
-0.0363 -5.4528 10.9331
Sr Ca V O
6 2 8 24
direct
0.0000 0.0000 0.0000
0.0001 0.1245 0.7489
0.9995 0.6244 0.7485
0.0006 0.3752 0.2508
0.0006 0.4997 0.9995
0.0014 0.8751 0.2508
0.9999 0.2500 0.4999
0.0000 0.7484 0.4992
0.4995 0.8734 0.7470
0.5003 0.2498 0.9998
0.4998 0.3733 0.7469
0.4998 0.4997 0.4995
0.5000 0.7499 0.9996
0.5013 0.9996 0.4999
0.5010 0.1262 0.2529
0.5021 0.6263 0.2521
0.0003 0.2496 0.9998
0.0005 0.5008 0.4997
0.0004 0.7501 0.9998
0.0014 0.1290 0.2573
0.0008 0.9995 0.4999
0.0018 0.6279 0.2553
0.4952 0.1826 0.6185
0.4967 0.6828 0.6179
0.4979 0.8154 0.8702
0.4984 0.9312 0.1222
0.4993 0.3155 0.8701
0.4991 0.4359 0.6276
0.5001 0.0687 0.8785
0.5011 0.1844 0.1300
0.5005 0.4308 0.1211
0.5005 0.5635 0.3713
0.5012 0.9363 0.6281
0.5018 0.0643 0.3726
0.5020 0.6840 0.1289
0.5030 0.5687 0.8776
0.5049 0.3174 0.3816
0.5056 0.8168 0.3811
0.9992 0.3710 0.7430
0.9993 0.8716 0.7438
```

Calculated values
Energy above the lowest structure with this stoichiometry in kJ/mol of formula units: 0
Crystal system: triclinic
Total energy after the MP2020 corrections in eV/cell: -321.92
ΔH_f (0 K) in eV/atom: -2.909
M_tot in μB per atom: 0.200
E in Ha/atom: -0.2681